SnI3 PBE relaxed; total moment = 0.001 μB/atom; MP2020-corrected energy = -2.684 eV/atom; formation energy from the elements = -2.15 eV/f.u.
1.0
6.015 0.000 0.000
0.000 6.015 0.000
0.000 0.000 6.015
Sn I
1 3
Direct
0.000 0.000 0.000
0.000 0.500 0.000
0.000 0.000 0.500
0.500 0.000 0.000